NaSiBO4: relaxed, PBE.

POSCAR file:
```
NaSiBO4
1.0
1.551 4.102 -13.354
-5.408 8.849 9.487
7.152 2.618 1.635
Na Si B O
18 18 18 72
Cartesian
2.317 5.476 -0.246
-0.106 7.468 7.163
-1.525 10.013 -6.869
1.446 3.023 -8.673
-0.765 11.589 5.844
2.973 7.054 -4.885
0.378 0.138 0.086
-0.136 6.806 -10.203
-0.785 4.544 -1.348
-0.590 5.750 -5.699
0.666 8.641 2.732
-0.689 12.804 1.169
3.954 1.448 0.904
-2.923 7.327 1.911
-2.559 8.798 -2.794
0.447 1.470 -4.210
2.206 4.599 4.040
1.466 10.068 -1.481
-1.559 9.642 0.273
-2.179 8.570 4.705
-0.481 11.403 -3.765
-0.384 5.470 1.818
3.054 8.550 0.635
1.988 3.893 -5.800
3.532 10.045 -4.083
3.134 5.654 -10.372
4.706 5.873 -2.539
2.438 7.453 5.089
1.361 10.354 8.414
0.800 8.095 -7.334
4.976 4.605 1.808
2.290 13.390 -0.512
0.184 6.998 -2.880
2.205 2.618 -1.445
1.250 11.655 3.555
5.327 6.945 -6.970
4.614 8.604 -1.852
2.898 11.307 1.303
4.886 3.629 -0.823
-3.102 8.742 7.376
2.219 12.384 -3.176
6.422 5.509 -4.808
0.839 9.069 -4.665
0.508 2.977 0.815
-0.278 6.436 4.462
-1.481 10.663 2.953
2.293 10.183 5.749
2.640 5.986 -7.607
5.829 6.619 -9.738
4.094 7.100 2.808
5.220 9.736 -6.318
2.036 4.861 -3.160
-2.159 11.733 -1.539
0.328 7.568 -0.004
4.042 8.752 -3.212
-1.570 10.040 4.291
1.273 10.545 6.786
2.474 13.409 -2.144
0.481 3.265 -5.646
3.612 9.014 -0.833
5.067 7.210 -1.654
0.858 11.823 -2.923
-2.464 11.765 2.785
5.894 7.371 -8.455
-4.242 7.780 7.307
6.492 6.125 -6.151
-3.730 8.528 4.196
-0.818 5.554 5.529
-1.374 6.920 -3.389
2.206 7.390 -7.806
0.958 5.752 -3.631
4.321 4.385 0.319
-3.651 11.668 -1.508
0.409 2.340 2.149
-2.099 8.381 6.337
0.571 4.459 0.938
4.427 6.650 -10.250
-2.495 8.613 8.716
0.287 6.776 -1.261
-1.877 4.834 2.004
3.081 5.715 -2.537
2.187 9.642 -4.918
0.591 8.047 -5.700
6.272 5.218 -9.551
-0.674 2.607 -0.019
3.224 11.293 -3.056
5.418 4.554 -1.860
-1.781 13.153 -1.680
3.835 2.762 -1.435
6.682 7.282 -10.744
-1.623 11.198 -0.258
5.968 2.743 -0.348
2.382 12.095 2.450
5.238 6.029 -4.083
-3.591 10.126 7.179
0.786 8.462 -3.313
6.363 4.025 -4.879
4.882 8.300 -6.161
0.254 5.662 3.320
-0.145 8.955 -0.207
-0.112 11.233 2.745
4.717 10.237 -7.623
2.894 7.591 3.512
2.349 11.835 0.012
1.487 3.932 -2.120
2.272 13.004 -4.521
4.205 7.728 1.468
-1.692 9.631 1.909
1.713 2.487 0.116
-0.497 6.909 1.038
2.527 9.886 1.442
1.691 10.318 4.409
-1.336 7.360 3.986
4.041 5.948 -7.110
-2.771 8.762 -0.377
1.742 7.577 0.488
4.667 10.502 -5.180
-0.181 10.159 -4.795
1.794 5.321 -6.598
0.808 7.273 5.063
-0.439 7.224 -7.963
2.563 5.222 -8.894
2.785 8.800 5.962
4.017 5.608 2.687
2.609 4.095 -4.294
-1.640 10.960 -2.691
```

ΔH_f (0 K) = -1968 kJ/mol of formula units
Symmetry = No. 173